1.
A plane-wave DFT calculation with PBE was carried out for a geometry-optimized AgAsBr4 structure.

The space group is Imma (No. 74) and the conventional cell measures 7.803, 8.199 and 12.322 Å, with angles of 90.00, 90.00 and 90.00 degrees. The distinct sites, in fractional coordinates, are Ag at (0.000, 0.000, 0.000), As at (0.250, 0.250, 0.250), Br at (0.000, 0.020, 0.256) and Br at (0.245, 0.250, 0.034).

***

2.
A plane-wave DFT calculation with PBE was carried out for a geometry-optimized K2AgAsBr6 structure.

The space group is Fm-3m (No. 225) and the conventional cell measures 10.950, 10.950 and 10.950 Å, with angles of 90.00, 90.00 and 90.00 degrees. The distinct sites, in fractional coordinates, are K at (0.250, 0.250, 0.250), Ag at (0.000, 0.000, 0.000), As at (0.000, 0.000, 0.500) and Br at (0.000, 0.000, 0.256).

***

no.,total energy after the MP2020 corrections (eV/atom),ΔH_f (0 K) (eV/atom)
1,-3.078,-0.738
2,-3.211,-1.258